Crystalline Na4Hf3MgSi3S3O24 at its relaxed geometry, computed with PBE.

Lattice parameters (Å, degrees): 8.9947 9.0041 23.0653 90.12 90.12 119.90
Fractional positions:
Na 0.0000 0.0000 0.0000
Na 0.0029 0.3773 0.2665
Na 0.0075 0.0030 0.5114
Na 0.0119 0.6360 0.7527
Na 0.3323 0.6751 0.6741
Na 0.3406 0.0336 0.9172
Na 0.3534 0.6975 0.1827
Na 0.3725 0.3591 0.7584
Na 0.6627 0.0334 0.7623
Na 0.6659 0.6523 0.2661
Na 0.6931 0.3456 0.3458
Na 0.6985 0.3390 0.8363
Hf 0.0108 0.9985 0.1615
Hf 0.0305 0.0136 0.6591
Hf 0.3393 0.6848 0.8250
Hf 0.3432 0.6673 0.5306
Hf 0.3504 0.6851 0.3284
Hf 0.3564 0.6914 0.0269
Hf 0.6966 0.3464 0.9878
Hf 0.7064 0.3672 0.4903
Hf 0.9949 0.9998 0.3673
Mg 0.0119 0.0134 0.8627
Mg 0.6879 0.3409 0.1999
Mg 0.6997 0.3425 0.6946
Si 0.0161 0.2993 0.7628
Si 0.0198 0.7171 0.2612
Si 0.0565 0.6858 0.9276
Si 0.0607 0.3826 0.4263
Si 0.3151 0.0211 0.7645
Si 0.6358 0.6729 0.4285
Si 0.6545 0.9702 0.9267
Si 0.7198 0.0124 0.2603
Si 0.9802 0.6426 0.5986
S 0.3088 0.2989 0.2606
S 0.3521 0.9716 0.4295
S 0.3526 0.3893 0.9294
S 0.3950 0.0576 0.0949
S 0.3977 0.3455 0.5955
S 0.6824 0.6327 0.0958
S 0.6835 0.0535 0.5951
S 0.7283 0.7211 0.7618
S 0.9787 0.3459 0.0956
O 0.0502 0.2118 0.7045
O 0.0518 0.8406 0.2035
O 0.0527 0.1991 0.4207
O 0.0543 0.8609 0.9248
O 0.1394 0.6444 0.8705
O 0.1441 0.5001 0.3675
O 0.1524 0.4987 0.0875
O 0.1736 0.6673 0.5878
O 0.1789 0.4830 0.4822
O 0.1798 0.7000 0.9835
O 0.1836 0.9741 0.7081
O 0.1852 0.6870 0.2648
O 0.1968 0.2178 0.2078
O 0.1991 0.9883 0.4207
O 0.1999 0.4900 0.7677
O 0.2038 0.2186 0.9258
O 0.2204 0.0378 0.0996
O 0.2205 0.1921 0.5990
O 0.2322 0.1970 0.3121
O 0.2334 0.0469 0.8230
O 0.3215 0.4721 0.2646
O 0.3249 0.8624 0.4801
O 0.3340 0.4786 0.9812
O 0.3348 0.8444 0.7662
O 0.3745 0.8808 0.0892
O 0.3779 0.5010 0.5887
O 0.3794 0.8914 0.3759
O 0.3850 0.4932 0.8767
O 0.4744 0.1569 0.0414
O 0.4777 0.3198 0.5432
O 0.4829 0.3268 0.2511
O 0.4945 0.3677 0.6487
O 0.5005 0.1397 0.1462
O 0.5026 0.1874 0.7529
O 0.5064 0.1406 0.4360
O 0.5084 0.3697 0.9389
O 0.5246 0.8838 0.8711
O 0.5288 0.6541 0.0888
O 0.5296 0.6529 0.3677
O 0.5306 0.8794 0.5875
O 0.5391 0.8301 0.2656
O 0.5462 0.7068 0.4837
O 0.5486 0.8519 0.9839
O 0.5539 0.7048 0.7684
O 0.6461 0.1510 0.9385
O 0.6502 0.4990 0.4340
O 0.6568 0.1272 0.6482
O 0.6618 0.5339 0.1485
O 0.7012 0.5466 0.7535
O 0.7033 0.1596 0.5431
O 0.7040 0.5487 0.0438
O 0.7096 0.1837 0.2531
O 0.8038 0.8315 0.7095
O 0.8190 0.9798 0.2043
O 0.8292 0.8403 0.4232
O 0.8354 0.7960 0.8133
O 0.8394 0.8085 0.0995
O 0.8396 0.0364 0.6000
O 0.8406 0.9956 0.9252
O 0.8443 0.5346 0.2530
O 0.8499 0.0468 0.3150
O 0.8556 0.3342 0.7566
O 0.8613 0.5463 0.5403
O 0.8677 0.3569 0.4338
O 0.8690 0.5122 0.9375
O 0.8695 0.3229 0.0435
O 0.8974 0.5340 0.6562
O 0.9001 0.3708 0.1475
O 0.9798 0.1769 0.8172
O 0.9945 0.8175 0.3154
O 0.9958 0.8339 0.5996
O 0.9970 0.1904 0.0997

Calculated values
Density = 3.741 g/cm3
ΔE_f = -2.833 eV/atom